(1)
{"formula": "Na2Ge2O5", "functional": "PBE", "state": "relaxed", "relative_energy_mev_per_atom": 0, "lattice": [[-3.515, 3.610, -0.408], [-0.777, 0.201, 8.474], [8.537, 8.715, 3.556]], "species": ["Na", "Na", "Na", "Na", "Na", "Na", "Na", "Na", "Ge", "Ge", "Ge", "Ge", "Ge", "Ge", "Ge", "Ge", "O", "O", "O", "O", "O", "O", "O", "O", "O", "O", "O", "O", "O", "O", "O", "O", "O", "O", "O", "O"], "fractional_positions": [[0.718, 0.140, 0.026], [0.258, 0.381, 0.054], [0.758, 0.619, 0.446], [0.782, 0.140, 0.526], [0.218, 0.860, 0.474], [0.242, 0.381, 0.554], [0.742, 0.619, 0.946], [0.282, 0.860, 0.974], [0.796, 0.401, 0.223], [0.682, 0.022, 0.322], [0.182, 0.978, 0.178], [0.296, 0.599, 0.277], [0.704, 0.401, 0.723], [0.818, 0.022, 0.822], [0.318, 0.978, 0.678], [0.204, 0.599, 0.777], [0.253, 0.106, 0.055], [0.722, 0.388, 0.092], [0.331, 0.012, 0.298], [0.148, 0.441, 0.225], [0.246, 0.774, 0.168], [0.746, 0.226, 0.332], [0.648, 0.559, 0.275], [0.831, 0.988, 0.202], [0.222, 0.612, 0.408], [0.247, 0.106, 0.555], [0.753, 0.894, 0.445], [0.778, 0.388, 0.592], [0.169, 0.012, 0.798], [0.352, 0.441, 0.725], [0.254, 0.774, 0.668], [0.754, 0.226, 0.832], [0.852, 0.559, 0.775], [0.669, 0.988, 0.702], [0.278, 0.612, 0.908], [0.747, 0.894, 0.945]]}

=====

(2)
{"formula": "Na4Ge9O20", "functional": "PBE", "state": "relaxed", "final_energy_ev_per_atom": -6.16, "lattice": [[-7.624, 7.624, 3.755], [7.624, -7.624, 3.755], [7.624, 7.624, -3.755]], "species": ["Na", "Na", "Na", "Na", "Na", "Na", "Na", "Na", "Ge", "Ge", "Ge", "Ge", "Ge", "Ge", "Ge", "Ge", "Ge", "Ge", "Ge", "Ge", "Ge", "Ge", "Ge", "Ge", "Ge", "Ge", "O", "O", "O", "O", "O", "O", "O", "O", "O", "O", "O", "O", "O", "O", "O", "O", "O", "O", "O", "O", "O", "O", "O", "O", "O", "O", "O", "O", "O", "O", "O", "O", "O", "O", "O", "O", "O", "O", "O", "O"], "fractional_positions": [[0.208, 0.989, 0.608], [0.850, 0.958, 0.719], [0.239, 0.131, 0.281], [0.381, 0.600, 0.392], [0.042, 0.761, 0.892], [0.400, 0.792, 0.781], [0.011, 0.619, 0.219], [0.869, 0.150, 0.108], [0.288, 0.628, 0.066], [0.472, 0.038, 0.160], [0.878, 0.312, 0.840], [0.562, 0.222, 0.934], [0.962, 0.122, 0.434], [0.778, 0.712, 0.340], [0.372, 0.438, 0.660], [0.688, 0.528, 0.566], [0.000, 0.000, 0.000], [0.250, 0.750, 0.500], [0.520, 0.147, 0.436], [0.334, 0.270, 0.873], [0.397, 0.461, 0.127], [0.711, 0.084, 0.564], [0.730, 0.603, 0.064], [0.916, 0.480, 0.627], [0.853, 0.289, 0.373], [0.539, 0.666, 0.936], [0.466, 0.762, 0.986], [0.730, 0.216, 0.204], [0.012, 0.526, 0.796], [0.776, 0.480, 0.014], [0.784, 0.988, 0.514], [0.520, 0.534, 0.296], [0.238, 0.224, 0.704], [0.474, 0.270, 0.486], [0.340, 0.570, 0.179], [0.411, 0.090, 0.270], [0.820, 0.141, 0.730], [0.391, 0.161, 0.821], [0.910, 0.180, 0.321], [0.839, 0.660, 0.230], [0.430, 0.609, 0.770], [0.859, 0.589, 0.679], [0.027, 0.394, 0.988], [0.289, 0.777, 0.133], [0.644, 0.156, 0.867], [0.406, 0.039, 0.012], [0.223, 0.356, 0.512], [0.961, 0.973, 0.367], [0.606, 0.594, 0.633], [0.844, 0.711, 0.488], [0.298, 0.406, 0.947], [0.600, 0.048, 0.392], [0.276, 0.907, 0.446], [0.080, 0.026, 0.869], [0.157, 0.211, 0.131], [0.461, 0.830, 0.554], [0.974, 0.843, 0.054], [0.170, 0.724, 0.631], [0.093, 0.539, 0.369], [0.789, 0.920, 0.946], [0.792, 0.400, 0.447], [0.594, 0.542, 0.892], [0.650, 0.702, 0.108], [0.952, 0.344, 0.553], [0.458, 0.350, 0.053], [0.656, 0.208, 0.608]]}

=====

(3)
{"formula": "Na2Ge2O5", "functional": "PBE", "state": "relaxed", "relative_energy_mev_per_atom": 3, "piezo_max_c_m2": 0.08, "lattice": [[5.009, 0.000, 0.000], [0.000, 8.538, 0.000], [0.000, 0.000, 12.323]], "species": ["Na", "Na", "Na", "Na", "Na", "Na", "Na", "Na", "Ge", "Ge", "Ge", "Ge", "Ge", "Ge", "Ge", "Ge", "O", "O", "O", "O", "O", "O", "O", "O", "O", "O", "O", "O", "O", "O", "O", "O", "O", "O", "O", "O"], "fractional_positions": [[0.433, 0.934, 0.772], [0.398, 0.813, 0.306], [0.898, 0.687, 0.806], [0.933, 0.566, 0.272], [0.433, 0.434, 0.728], [0.398, 0.313, 0.194], [0.898, 0.187, 0.694], [0.933, 0.066, 0.228], [0.476, 0.951, 0.072], [0.858, 0.890, 0.474], [0.358, 0.610, 0.974], [0.976, 0.549, 0.572], [0.476, 0.451, 0.428], [0.858, 0.390, 0.026], [0.358, 0.110, 0.526], [0.976, 0.049, 0.928], [0.905, 0.962, 0.806], [0.831, 0.973, 0.049], [0.503, 0.929, 0.481], [0.929, 0.834, 0.343], [0.917, 0.756, 0.584], [0.417, 0.744, 0.084], [0.429, 0.666, 0.843], [0.003, 0.571, 0.981], [0.331, 0.527, 0.549], [0.405, 0.538, 0.306], [0.905, 0.462, 0.694], [0.831, 0.473, 0.451], [0.503, 0.429, 0.019], [0.929, 0.334, 0.157], [0.917, 0.256, 0.916], [0.417, 0.244, 0.416], [0.429, 0.166, 0.657], [0.003, 0.071, 0.519], [0.331, 0.027, 0.951], [0.405, 0.038, 0.194]]}

=====

| no. | V (Å³/atom) |
| --- | --- |
| 1 | 14.77 |
| 2 | 13.23 |
| 3 | 14.64 |